*1*
Computed, not measured: an optimized crystal structure of Li2MgMn3O8 at the PBE with a Hubbard U level of DFT.

Results
space-group type: P4_332

Cell: 8.3300 8.3300 8.3300 Å, 90.00 90.00 90.00°
Positions (direct):
1 Mn 0.8750 0.8801 0.6301
2 O 0.8573 0.1250 0.1508
3 Li 0.7533 0.7467 0.2533
4 O 0.8927 0.4008 0.8750
5 Mn 0.1250 0.3801 0.8699
6 Li 0.7467 0.2533 0.7533
7 O 0.1508 0.8573 0.1250
8 Mn 0.6301 0.8750 0.8801
9 Li 0.2533 0.7533 0.7467
10 Mg 0.6250 0.6250 0.6250
11 O 0.1250 0.1508 0.8573
12 Mn 0.8699 0.1250 0.3801
13 O 0.1250 0.3927 0.0992
14 Mn 0.1199 0.1301 0.6250
15 O 0.3492 0.1427 0.6250
16 O 0.4008 0.8750 0.8927
17 O 0.6073 0.5992 0.3750
18 Li 0.4967 0.9967 0.5033
19 O 0.3927 0.0992 0.1250
20 Li 0.0033 0.0033 0.0033
21 Mg 0.1250 0.8750 0.3750
22 Li 0.2467 0.2467 0.2467
23 O 0.3750 0.6073 0.5992
24 O 0.6156 0.8844 0.1156
25 Mn 0.8801 0.6301 0.8750
26 Mn 0.3750 0.6199 0.3699
27 O 0.1344 0.3656 0.6344
28 O 0.6250 0.3492 0.1427
29 O 0.3573 0.3750 0.8492
30 Mn 0.3699 0.3750 0.6199
31 O 0.3750 0.8492 0.3573
32 O 0.6427 0.8750 0.6508
33 Mn 0.1301 0.6250 0.1199
34 Mg 0.3750 0.1250 0.8750
35 O 0.1427 0.6250 0.3492
36 O 0.6508 0.6427 0.8750
37 O 0.8750 0.6508 0.6427
38 O 0.3844 0.3844 0.3844
39 O 0.6344 0.1344 0.3656
40 O 0.8656 0.8656 0.8656
41 Mg 0.8750 0.3750 0.1250
42 O 0.1156 0.6156 0.8844
43 Mn 0.6199 0.3699 0.3750
44 O 0.0992 0.1250 0.3927
45 Mn 0.3801 0.8699 0.1250
46 O 0.1073 0.9008 0.6250
47 O 0.5992 0.3750 0.6073
48 O 0.6250 0.1073 0.9008
49 Mn 0.6250 0.1199 0.1301
50 O 0.8844 0.1156 0.6156
51 O 0.8492 0.3573 0.3750
52 O 0.9008 0.6250 0.1073
53 Li 0.9967 0.5033 0.4967
54 O 0.3656 0.6344 0.1344
55 O 0.8750 0.8927 0.4008
56 Li 0.5033 0.4967 0.9967

=====

*2*
Computed, not measured: an optimized crystal structure of Li2MgMn3O8 at the PBE with a Hubbard U level of DFT.

Results
space-group type: R-3m

Cell: 5.9533 5.9534 5.9534 Å, 58.73 58.73 58.73°
Positions (direct):
1 Li 0.1158 0.1158 0.1158
2 O 0.7085 0.2538 0.2538
3 Li 0.8842 0.8842 0.8842
4 O 0.7462 0.7462 0.2915
5 Mg 0.5000 0.5000 0.5000
6 O 0.2538 0.2538 0.7085
7 O 0.7462 0.2915 0.7462
8 Mn 0.0000 0.5000 0.5000
9 Mn 0.5000 0.5000 0.0000
10 Mn 0.5000 0.0000 0.5000
11 O 0.7367 0.7367 0.7367
12 O 0.2633 0.2633 0.2633
13 O 0.2538 0.7085 0.2538
14 O 0.2915 0.7462 0.7462

=====

Calculated relative energies: *1* 0; *2* 19, given in meV/atom